Entry from the Materials Project database: a relaxed structure of BiI3 (r²SCAN).

Cell lengths 7.6643, 7.6643, 7.2403 Å; angles 90.00, 90.00, 120.00 degrees
Space group P-31m (No. 162)
Symmetry-distinct sites (fractional):
Bi1 0.3333 0.6667 0.0000 (multiplicity 2)
I1 0.0000 0.3415 0.7512 (multiplicity 6)

=====

Entry from the Materials Project database: a relaxed structure of BiIO4 (r²SCAN).

Cell lengths 5.641, 11.068, 5.712 Å; angles 90.00, 90.00, 90.00 degrees
Space group Pca2_1 (No. 29)
Symmetry-distinct sites (fractional):
Bi1 0.017 0.110 0.000 (multiplicity 4)
I1 0.003 0.367 0.523 (multiplicity 4)
O1 0.121 0.220 0.616 (multiplicity 4)
O2 0.153 0.704 0.776 (multiplicity 4)
O3 0.240 0.000 0.263 (multiplicity 4)
O4 0.246 0.431 0.865 (multiplicity 4)

=====

Entry from the Materials Project database: a relaxed structure of YbBi2IO4 (r²SCAN).

Cell lengths 3.876, 3.876, 9.621 Å; angles 90.00, 90.00, 90.00 degrees
Space group P4/mmm (No. 123)
Symmetry-distinct sites (fractional):
Yb1 0.000 0.000 0.000 (multiplicity 1)
Bi1 0.500 0.500 0.254 (multiplicity 2)
I1 0.000 0.000 0.500 (multiplicity 1)
O1 0.000 0.500 0.138 (multiplicity 4)

=====

Entry from the Materials Project database: a relaxed structure of InBi3 (r²SCAN).

Cell lengths 3.319, 8.839, 8.678 Å; angles 90.00, 90.00, 90.00 degrees
Space group C222 (No. 21)
Symmetry-distinct sites (fractional):
In1 0.000 0.000 0.000 (multiplicity 2)
Bi1 0.000 0.500 0.500 (multiplicity 2)
Bi2 0.250 0.250 0.239 (multiplicity 4)

=====

| no. | E_form (eV per atom) | E (eV per atom) |
| --- | --- | --- |
| 1 | -0.54 | -33.5800 |
| 2 | -0.84 | -18.6676 |
| 3 | -2.14 | -27.3861 |
| 4 | 0.06 | -49.4572 |